[1]
This record from the Materials Project database describes a geometry-optimized BaTa2O6 structure. The functional is PBE.

Calculated values
Volume (Å³/atom): 21.5
Final energy (eV for the cell shown): -480.448

Cell and atoms, written as CIF:
```
data_BaTa2O6
_chemical_formula_sum 'Ba6 Ta12 O36'
_symmetry_space_group_name_H-M 'P 1'
_symmetry_Int_Tables_number 1
_cell_length_a 9.291
_cell_length_b 9.854
_cell_length_c 14.198
_cell_angle_alpha 88.24
_cell_angle_beta 88.08
_cell_angle_gamma 63.33
loop_
_symmetry_equiv_pos_as_xyz
'x,y,z'
loop_
_atom_site_label
_atom_site_fract_x
_atom_site_fract_y
_atom_site_fract_z
Ba1 0.000 0.000 0.000
Ba2 0.052 0.024 0.511
Ba3 0.193 0.349 0.011
Ba4 0.277 0.296 0.537
Ba5 0.618 0.834 0.005
Ba6 0.743 0.820 0.520
Ta1 0.340 0.605 0.392
Ta2 0.357 0.640 0.150
Ta3 0.377 0.616 0.897
Ta4 0.420 0.591 0.635
Ta5 0.588 0.178 0.904
Ta6 0.614 0.168 0.147
Ta7 0.664 0.166 0.399
Ta8 0.669 0.149 0.645
Ta9 0.790 0.400 0.158
Ta10 0.837 0.455 0.894
Ta11 0.863 0.455 0.628
Ta12 0.966 0.444 0.381
O1 0.021 0.259 0.607
O2 0.092 0.243 0.405
O3 0.095 0.537 0.405
O4 0.238 0.667 0.268
O5 0.260 0.819 0.917
O6 0.269 0.609 0.041
O7 0.281 0.686 0.527
O8 0.341 0.645 0.759
O9 0.397 0.798 0.122
O10 0.400 0.407 0.902
O11 0.401 0.219 0.151
O12 0.435 0.111 0.930
O13 0.462 0.398 0.405
O14 0.471 0.391 0.630
O15 0.489 0.669 0.371
O16 0.523 0.088 0.424
O17 0.527 0.073 0.625
O18 0.557 0.462 0.162
O19 0.590 0.583 0.914
O20 0.610 0.610 0.623
O21 0.649 0.208 0.775
O22 0.653 0.238 0.023
O23 0.686 0.212 0.266
O24 0.718 0.227 0.521
O25 0.722 0.963 0.130
O26 0.764 0.987 0.917
O27 0.809 0.502 0.051
O28 0.816 0.503 0.482
O29 0.817 0.436 0.761
O30 0.853 0.982 0.408
O31 0.859 0.973 0.632
O32 0.869 0.474 0.257
O33 0.929 0.204 0.137
O34 0.946 0.565 0.899
O35 0.976 0.563 0.625
O36 0.981 0.261 0.929
```


[2]
This record from the Materials Project database describes a geometry-optimized Ba6Ta9Ti7O42 structure. The functional is PBE.

Calculated values
Volume (Å³/atom): 13.6
Final energy (eV for the cell shown): -1150.704

Cell and atoms, written as CIF:
```
data_Ba6Ta9Ti7O42
_chemical_formula_sum 'Ba12 Ta18 Ti14 O84'
_symmetry_space_group_name_H-M 'C 1 m 1'
_symmetry_Int_Tables_number 8
_cell_length_a 9.177
_cell_length_b 15.866
_cell_length_c 11.963
_cell_angle_alpha 90.00
_cell_angle_beta 90.00
_cell_angle_gamma 90.00
loop_
_symmetry_equiv_pos_as_xyz
'x,y,z'
'x,-y,z'
'x+1/2,y+1/2,z'
'x+1/2,-y+1/2,z'
loop_
_atom_site_label
_atom_site_fract_x
_atom_site_fract_y
_atom_site_fract_z
Ba1 0.000 0.000 0.000
Ba2 0.108 0.296 0.000
Ba3 0.199 0.200 0.506
Ba4 0.316 0.500 0.506
Ta1 0.024 0.378 0.665
Ta2 0.150 0.500 0.164
Ta3 0.281 0.122 0.162
Ta4 0.404 0.334 0.760
Ta5 0.405 0.333 0.262
Ti1 0.027 0.378 0.352
Ti2 0.149 0.500 0.851
Ti3 0.154 0.000 0.666
Ti4 0.163 0.000 0.357
Ti5 0.279 0.121 0.847
O1 0.005 0.399 0.180
O2 0.007 0.084 0.658
O3 0.007 0.399 0.831
O4 0.008 0.084 0.356
O5 0.009 0.395 0.505
O6 0.078 0.157 0.157
O7 0.080 0.156 0.857
O8 0.106 0.500 0.680
O9 0.107 0.500 0.331
O10 0.114 0.500 0.005
O11 0.191 0.000 0.508
O12 0.204 0.000 0.830
O13 0.205 0.000 0.179
O14 0.228 0.343 0.355
O15 0.230 0.343 0.657
O16 0.299 0.105 0.004
O17 0.302 0.416 0.856
O18 0.304 0.100 0.331
O19 0.304 0.415 0.157
O20 0.305 0.101 0.681
O21 0.332 0.240 0.853
O22 0.332 0.242 0.157
O23 0.477 0.240 0.356
O24 0.478 0.242 0.655
```


[3]
This record from the Materials Project database describes a geometry-optimized Ba3Ta4Ti4O21 structure. The functional is PBE.

Calculated values
Volume (Å³/atom): 13.5
Final energy (eV for the cell shown): -1144.080

Cell and atoms, written as CIF:
```
data_Ba3Ta4Ti4O21
_chemical_formula_sum 'Ba12 Ta16 Ti16 O84'
_symmetry_space_group_name_H-M 'C 1 2/c 1'
_symmetry_Int_Tables_number 15
_cell_length_a 15.795
_cell_length_b 9.157
_cell_length_c 11.929
_cell_angle_alpha 90.00
_cell_angle_beta 90.03
_cell_angle_gamma 90.00
loop_
_symmetry_equiv_pos_as_xyz
'x,y,z'
'-x,-y,-z'
'-x,y,-z+1/2'
'x,-y,z+1/2'
'x+1/2,y+1/2,z'
'-x+1/2,-y+1/2,-z'
'-x+1/2,y+1/2,-z+1/2'
'x+1/2,-y+1/2,z+1/2'
loop_
_atom_site_label
_atom_site_fract_x
_atom_site_fract_y
_atom_site_fract_z
Ba1 0.000 0.091 0.250
Ba2 0.201 0.296 0.750
Ta1 0.119 0.380 0.093
Ta2 0.165 0.004 0.500
Ti1 0.000 0.254 0.597
Ti2 0.123 0.376 0.407
O1 0.000 0.292 0.750
O2 0.000 0.297 0.074
O3 0.084 0.104 0.901
O4 0.085 0.104 0.601
O5 0.101 0.399 0.574
O6 0.101 0.399 0.926
O7 0.102 0.399 0.252
O8 0.156 0.175 0.399
O9 0.157 0.174 0.101
O10 0.240 0.428 0.402
O11 0.241 0.428 0.100
```


[4]
This record from the Materials Project database describes a geometry-optimized Ba3Ta2Ti6O21 structure. The functional is PBE.

Calculated values
Volume (Å³/atom): 13.3
Final energy (eV for the cell shown): -548.158

Cell and atoms, written as CIF:
```
data_Ba3Ta2Ti6O21
_chemical_formula_sum 'Ba6 Ta4 Ti12 O42'
_symmetry_space_group_name_H-M 'P 63/m c m'
_symmetry_Int_Tables_number 193
_symmetry_space_group_name_Hall '-P 6c 2'
_cell_length_a 9.0551
_cell_length_b 9.0551
_cell_length_c 11.9436
_cell_angle_alpha 90.00
_cell_angle_beta 90.00
_cell_angle_gamma 120.00
loop_
_atom_site_label
_atom_site_fract_x
_atom_site_fract_y
_atom_site_fract_z
Ba1 0.0000 0.4044 0.2500
Ta1 0.3333 0.6667 0.0000
Ti1 0.0000 0.2370 0.5959
O1 0.0000 0.2012 0.0739
O2 0.0000 0.2047 0.7500
O3 0.1671 0.4803 0.5996
```


Q: volume of number 4 (Ba3Ta2Ti6O21)?
A: 13.3 Å³/atom


Q: What is the final energy in the third record?
A: -1144.080 eV for the cell shown